Entry from the Materials Project database: a relaxed EuCuGe crystal (PBE).

Output
- Space-group type: No. 62
- Total energy: -6.812 eV/atom

Cell: 4.501 7.638 22.479 Å, 90.00 90.00 90.00°
Fractional coordinates of all 36 atoms:
Eu 0.750 0.214 0.998
Eu 0.250 0.706 0.833
Eu 0.750 0.294 0.167
Eu 0.250 0.714 0.502
Eu 0.750 0.207 0.334
Eu 0.250 0.794 0.333
Eu 0.250 0.786 0.002
Eu 0.750 0.293 0.834
Eu 0.750 0.206 0.667
Eu 0.250 0.793 0.666
Eu 0.250 0.707 0.166
Eu 0.750 0.286 0.498
Ge 0.750 0.592 0.931
Ge 0.250 0.408 0.069
Ge 0.250 0.092 0.569
Ge 0.750 0.908 0.431
Ge 0.250 0.085 0.897
Ge 0.250 0.419 0.270
Ge 0.750 0.585 0.603
Ge 0.750 0.581 0.730
Ge 0.250 0.081 0.770
Ge 0.750 0.915 0.103
Ge 0.250 0.415 0.397
Ge 0.750 0.919 0.230
Cu 0.250 0.420 0.936
Cu 0.750 0.913 0.764
Cu 0.250 0.080 0.436
Cu 0.750 0.580 0.064
Cu 0.750 0.920 0.564
Cu 0.750 0.584 0.403
Cu 0.250 0.087 0.236
Cu 0.250 0.413 0.736
Cu 0.750 0.916 0.903
Cu 0.250 0.416 0.597
Cu 0.250 0.084 0.097
Cu 0.750 0.587 0.264